Entry 1:
NbP2NCl12 after structural relaxation. Source: the Materials Project, functional PBE-GGA.

Cell: 8.320 8.320 15.926 Å, 78.48 78.48 65.81°
Fractional positions:
1 Nb 0.000 0.000 0.500
2 Nb 0.000 0.000 0.000
3 P 0.460 0.320 0.771
4 P 0.680 0.540 0.729
5 P 0.320 0.460 0.271
6 P 0.540 0.680 0.229
7 N 0.621 0.379 0.750
8 N 0.379 0.621 0.250
9 Cl 0.704 0.219 0.008
10 Cl 0.787 0.897 0.473
11 Cl 0.296 0.781 0.992
12 Cl 0.902 0.483 0.649
13 Cl 0.239 0.498 0.824
14 Cl 0.517 0.098 0.851
15 Cl 0.103 0.213 0.027
16 Cl 0.483 0.902 0.149
17 Cl 0.954 0.910 0.151
18 Cl 0.781 0.296 0.492
19 Cl 0.910 0.954 0.651
20 Cl 0.213 0.103 0.527
21 Cl 0.897 0.787 0.973
22 Cl 0.273 0.401 0.166
23 Cl 0.599 0.727 0.334
24 Cl 0.090 0.046 0.349
25 Cl 0.727 0.599 0.834
26 Cl 0.219 0.704 0.508
27 Cl 0.046 0.090 0.849
28 Cl 0.098 0.517 0.351
29 Cl 0.761 0.502 0.176
30 Cl 0.502 0.761 0.676
31 Cl 0.401 0.273 0.666
32 Cl 0.498 0.239 0.324

Properties
E_form in kJ/mol of formula units: -2057
E in eV per atom: -4.0874

***

Entry 2:
Nd2NCl3 after structural relaxation. Source: the Materials Project, functional PBE-GGA.

Cell: 6.293 6.912 13.554 Å, 90.00 90.00 90.00°
Fractional positions:
1 Nd 0.006 0.325 0.408
2 Nd 0.506 0.175 0.092
3 Nd 0.494 0.325 0.592
4 Nd 0.994 0.175 0.908
5 Nd 0.994 0.675 0.592
6 Nd 0.494 0.825 0.908
7 Nd 0.506 0.675 0.408
8 Nd 0.006 0.825 0.092
9 N 0.750 0.492 0.500
10 N 0.250 0.008 0.000
11 N 0.250 0.508 0.500
12 N 0.750 0.992 0.000
13 Cl 0.104 0.362 0.718
14 Cl 0.604 0.138 0.782
15 Cl 0.396 0.362 0.282
16 Cl 0.896 0.138 0.218
17 Cl 0.750 0.502 0.000
18 Cl 0.250 0.998 0.500
19 Cl 0.250 0.498 0.000
20 Cl 0.750 0.002 0.500
21 Cl 0.104 0.862 0.782
22 Cl 0.604 0.638 0.718
23 Cl 0.396 0.862 0.218
24 Cl 0.896 0.638 0.282

Properties
E_form in kJ/mol of formula units: -1388
E in eV per atom: -5.9931

***

Entry 3:
NdN2Cl5 after structural relaxation. Source: the Materials Project, functional PBE-GGA.

Cell: 10.242 8.333 9.808 Å, 90.00 90.00 90.00°
Fractional positions:
1 Nd 0.550 0.750 0.969
2 Nd 0.450 0.250 0.031
3 Nd 0.050 0.250 0.531
4 Nd 0.950 0.750 0.469
5 N 0.452 0.412 0.595
6 N 0.548 0.588 0.405
7 N 0.952 0.588 0.905
8 N 0.548 0.912 0.405
9 N 0.048 0.412 0.095
10 N 0.452 0.088 0.595
11 N 0.048 0.088 0.095
12 N 0.952 0.912 0.905
13 Cl 0.417 0.750 0.741
14 Cl 0.583 0.250 0.259
15 Cl 0.917 0.250 0.759
16 Cl 0.083 0.750 0.241
17 Cl 0.646 0.448 0.929
18 Cl 0.354 0.552 0.071
19 Cl 0.146 0.552 0.571
20 Cl 0.354 0.948 0.071
21 Cl 0.854 0.448 0.429
22 Cl 0.646 0.052 0.929
23 Cl 0.854 0.052 0.429
24 Cl 0.146 0.948 0.571
25 Cl 0.001 0.750 0.958
26 Cl 0.999 0.250 0.042
27 Cl 0.501 0.250 0.542
28 Cl 0.499 0.750 0.458
29 Cl 0.789 0.750 0.736
30 Cl 0.211 0.250 0.264
31 Cl 0.289 0.250 0.764
32 Cl 0.711 0.750 0.236

Properties
E_form in kJ/mol of formula units: -383
E in eV per atom: -3.9483

***

Entry 4:
Nd10Si10N17ClO9 after structural relaxation. Source: the Materials Project, functional PBE-GGA.

Cell: 10.556 11.256 11.645 Å, 89.92 89.99 89.96°
Fractional positions:
1 Nd 0.992 0.001 0.830
2 Nd 0.993 0.000 0.170
3 Nd 0.108 0.369 0.000
4 Nd 0.139 0.114 0.499
5 Nd 0.139 0.603 0.755
6 Nd 0.138 0.603 0.245
7 Nd 0.360 0.098 0.758
8 Nd 0.364 0.102 0.242
9 Nd 0.363 0.618 0.502
10 Nd 0.374 0.871 0.996
11 Nd 0.499 0.499 0.827
12 Nd 0.502 0.497 0.173
13 Nd 0.643 0.129 0.004
14 Nd 0.624 0.382 0.498
15 Nd 0.643 0.895 0.768
16 Nd 0.645 0.899 0.232
17 Nd 0.858 0.400 0.772
18 Nd 0.857 0.399 0.228
19 Nd 0.877 0.880 0.500
20 Nd 0.874 0.627 0.000
21 Si 0.115 0.255 0.754
22 Si 0.116 0.255 0.245
23 Si 0.152 0.857 0.363
24 Si 0.151 0.857 0.636
25 Si 0.215 0.111 0.000
26 Si 0.286 0.609 0.000
27 Si 0.349 0.356 0.365
28 Si 0.347 0.354 0.636
29 Si 0.385 0.761 0.756
30 Si 0.385 0.756 0.244
31 Si 0.615 0.244 0.754
32 Si 0.616 0.239 0.245
33 Si 0.651 0.646 0.365
34 Si 0.649 0.645 0.635
35 Si 0.717 0.391 0.000
36 Si 0.788 0.892 0.000
37 Si 0.849 0.148 0.635
38 Si 0.850 0.147 0.366
39 Si 0.885 0.738 0.755
40 Si 0.885 0.738 0.246
41 N 0.021 0.811 0.715
42 N 0.023 0.809 0.284
43 N 0.103 0.889 0.499
44 N 0.171 0.183 0.878
45 N 0.172 0.185 0.121
46 N 0.229 0.253 0.351
47 N 0.226 0.252 0.647
48 N 0.273 0.754 0.351
49 N 0.271 0.754 0.649
50 N 0.326 0.682 0.877
51 N 0.327 0.684 0.122
52 N 0.397 0.390 0.501
53 N 0.420 0.901 0.803
54 N 0.474 0.305 0.716
55 N 0.477 0.308 0.287
56 N 0.524 0.690 0.720
57 N 0.527 0.693 0.278
58 N 0.584 0.099 0.198
59 N 0.595 0.615 0.499
60 N 0.663 0.321 0.878
61 N 0.664 0.323 0.123
62 N 0.730 0.251 0.352
63 N 0.728 0.250 0.648
64 N 0.770 0.750 0.354
65 N 0.769 0.750 0.648
66 N 0.828 0.816 0.877
67 N 0.829 0.818 0.124
68 N 0.848 0.034 0.000
69 N 0.880 0.405 0.999
70 N 0.906 0.118 0.501
71 N 0.921 0.598 0.799
72 N 0.919 0.598 0.201
73 N 0.972 0.195 0.723
74 N 0.974 0.193 0.279
75 Cl 0.081 0.549 0.500
76 Cl 0.425 0.050 0.500
77 O 0.087 0.394 0.797
78 O 0.087 0.394 0.203
79 O 0.129 0.582 0.002
80 O 0.155 0.973 0.000
81 O 0.182 0.992 0.309
82 O 0.179 0.994 0.687
83 O 0.320 0.489 0.691
84 O 0.321 0.491 0.309
85 O 0.352 0.473 0.001
86 O 0.372 0.087 0.999
87 O 0.417 0.895 0.200
88 O 0.586 0.106 0.800
89 O 0.625 0.906 0.001
90 O 0.652 0.528 0.999
91 O 0.681 0.507 0.684
92 O 0.681 0.508 0.316
93 O 0.814 0.011 0.684
94 O 0.818 0.008 0.319

Properties
E_form in kJ/mol of formula units: -9524
E in eV per atom: -8.1396

***

Entry 5:
Nd4Si4N7ClO3 after structural relaxation. Source: the Materials Project, functional PBE-GGA.

Cell: 10.380 10.444 10.570 Å, 90.00 90.00 90.00°
Fractional positions:
1 Nd 0.817 0.688 0.044
2 Nd 0.107 0.108 0.102
3 Nd 0.192 0.449 0.178
4 Nd 0.454 0.184 0.189
5 Nd 0.546 0.684 0.311
6 Nd 0.808 0.949 0.322
7 Nd 0.893 0.608 0.398
8 Nd 0.183 0.188 0.456
9 Nd 0.683 0.312 0.544
10 Nd 0.393 0.892 0.602
11 Nd 0.308 0.551 0.678
12 Nd 0.046 0.816 0.689
13 Nd 0.954 0.316 0.811
14 Nd 0.692 0.051 0.822
15 Nd 0.607 0.392 0.898
16 Nd 0.317 0.812 0.956
17 Si 0.571 0.930 0.070
18 Si 0.746 0.198 0.076
19 Si 0.081 0.742 0.196
20 Si 0.304 0.919 0.244
21 Si 0.696 0.419 0.256
22 Si 0.919 0.242 0.304
23 Si 0.254 0.698 0.424
24 Si 0.429 0.430 0.430
25 Si 0.929 0.070 0.570
26 Si 0.754 0.802 0.576
27 Si 0.419 0.258 0.696
28 Si 0.196 0.081 0.744
29 Si 0.804 0.581 0.756
30 Si 0.581 0.758 0.804
31 Si 0.246 0.302 0.924
32 Si 0.071 0.570 0.930
33 N 0.633 0.079 0.053
34 N 0.287 0.258 0.075
35 N 0.050 0.632 0.078
36 N 0.649 0.325 0.131
37 N 0.421 0.946 0.133
38 N 0.174 0.870 0.150
39 N 0.870 0.151 0.176
40 N 0.130 0.651 0.324
41 N 0.826 0.370 0.350
42 N 0.579 0.446 0.367
43 N 0.351 0.825 0.369
44 N 0.950 0.132 0.422
45 N 0.713 0.758 0.425
46 N 0.367 0.579 0.447
47 N 0.867 0.921 0.553
48 N 0.213 0.742 0.575
49 N 0.450 0.368 0.578
50 N 0.851 0.675 0.631
51 N 0.079 0.054 0.633
52 N 0.326 0.130 0.650
53 N 0.630 0.849 0.676
54 N 0.370 0.349 0.824
55 N 0.674 0.630 0.850
56 N 0.921 0.554 0.867
57 N 0.149 0.175 0.869
58 N 0.550 0.868 0.922
59 N 0.787 0.242 0.925
60 N 0.133 0.421 0.947
61 Cl 0.424 0.579 0.073
62 Cl 0.576 0.079 0.427
63 Cl 0.076 0.421 0.573
64 Cl 0.924 0.921 0.927
65 O 0.665 0.836 0.159
66 O 0.740 0.567 0.210
67 O 0.930 0.786 0.236
68 O 0.070 0.286 0.264
69 O 0.260 0.067 0.290
70 O 0.335 0.336 0.341
71 O 0.835 0.164 0.659
72 O 0.760 0.433 0.710
73 O 0.570 0.214 0.736
74 O 0.430 0.714 0.764
75 O 0.240 0.933 0.790
76 O 0.165 0.664 0.841

Properties
E_form in kJ/mol of formula units: -3705
E in eV per atom: -8.0084

***

Entry 6:
Nd6S4N3Cl after structural relaxation. Source: the Materials Project, functional PBE-GGA.

Cell: 4.023 11.821 26.715 Å, 90.00 90.00 90.00°
Fractional positions:
1 Nd 0.250 0.384 0.295
2 Nd 0.750 0.087 0.040
3 Nd 0.750 0.587 0.460
4 Nd 0.250 0.233 0.669
5 Nd 0.250 0.413 0.540
6 Nd 0.250 0.884 0.205
7 Nd 0.750 0.555 0.191
8 Nd 0.750 0.055 0.309
9 Nd 0.250 0.234 0.935
10 Nd 0.750 0.616 0.705
11 Nd 0.750 0.767 0.331
12 Nd 0.250 0.945 0.691
13 Nd 0.250 0.942 0.426
14 Nd 0.250 0.442 0.074
15 Nd 0.250 0.734 0.565
16 Nd 0.750 0.266 0.435
17 Nd 0.750 0.116 0.795
18 Nd 0.750 0.558 0.926
19 Nd 0.750 0.058 0.574
20 Nd 0.750 0.267 0.169
21 Nd 0.250 0.445 0.809
22 Nd 0.750 0.766 0.065
23 Nd 0.250 0.913 0.960
24 Nd 0.250 0.733 0.831
25 S 0.750 0.317 0.859
26 S 0.250 0.215 0.103
27 S 0.250 0.546 0.634
28 S 0.750 0.954 0.134
29 S 0.750 0.285 0.603
30 S 0.750 0.454 0.366
31 S 0.250 0.046 0.866
32 S 0.250 0.715 0.397
33 S 0.250 0.146 0.492
34 S 0.750 0.854 0.508
35 S 0.750 0.817 0.641
36 S 0.250 0.646 0.008
37 S 0.750 0.354 0.992
38 S 0.250 0.183 0.359
39 S 0.750 0.785 0.897
40 S 0.250 0.683 0.141
41 N 0.750 0.402 0.491
42 N 0.250 0.561 0.876
43 N 0.750 0.389 0.240
44 N 0.750 0.939 0.376
45 N 0.750 0.439 0.124
46 N 0.250 0.061 0.624
47 N 0.250 0.111 0.740
48 N 0.250 0.598 0.509
49 N 0.750 0.889 0.260
50 N 0.750 0.902 0.009
51 N 0.250 0.611 0.760
52 N 0.250 0.098 0.991
53 Cl 0.250 0.632 0.268
54 Cl 0.750 0.368 0.732
55 Cl 0.250 0.132 0.232
56 Cl 0.750 0.868 0.768

Properties
E_form in kJ/mol of formula units: -2686
E in eV per atom: -6.9445